one) Computed, not measured: BC after structural relaxation at the PBE level of DFT.

```
BC
1.0
2.5917 0.0000 0.0000
-1.2958 2.2445 0.0000
0.0000 0.0000 4.6575
B C
2 2
Direct
0.3333 0.6667 0.0000 B
0.6667 0.3333 0.5000 B
0.3333 0.6667 0.3360 C
0.6667 0.3333 0.8360 C
```

Computed properties:
As for the total magnetization: 0.0 μB per formula unit. The space group is P6_3mc.

two) Computed, not measured: BC after structural relaxation at the PBE level of DFT.

```
BC
1.0
2.6848 0.0000 0.0000
-1.3424 2.3251 0.0000
0.0000 0.0000 6.8852
B C
1 1
Direct
0.0000 0.0000 0.0000 B
0.3333 0.6667 0.0000 C
```

Computed properties:
As for the total magnetization: 0.0 μB per formula unit. The space group is P-6m2.

Short version: two) is the least stable of them.

one) Computed, not measured: BC7 after structural relaxation at the PBE level of DFT.

```
BC7
1.0
2.5184 0.0000 0.0000
0.0000 2.5184 0.0000
0.0000 0.0000 7.4943
B C
1 7
Direct
0.0000 0.0000 0.0000 B
0.0000 0.0000 0.5000 C
0.0000 0.5000 0.1423 C
0.0000 0.5000 0.6191 C
0.5000 0.0000 0.3809 C
0.5000 0.0000 0.8577 C
0.5000 0.5000 0.2579 C
0.5000 0.5000 0.7421 C
```

Computed properties:
As for the total magnetization: 0.0 μB per formula unit. The space group is P-4m2.

two) Computed, not measured: BC7 after structural relaxation at the PBE level of DFT.

```
BC7
1.0
3.6202 0.0000 0.0000
0.0000 3.6202 0.0000
0.0000 0.0000 3.6202
B C
1 7
Direct
0.0000 0.0000 0.0000 B
0.0000 0.5000 0.5000 C
0.2548 0.2548 0.2548 C
0.2548 0.7452 0.7452 C
0.5000 0.0000 0.5000 C
0.5000 0.5000 0.0000 C
0.7452 0.2548 0.7452 C
0.7452 0.7452 0.2548 C
```

Computed properties:
As for the total magnetization: 0.0 μB per formula unit. The space group is P-43m.

three) Computed, not measured: BC7 after structural relaxation at the PBE level of DFT.

```
BC7
1.0
1.2688 0.7325 8.5171
-1.2688 0.7325 8.5171
0.0000 -1.4650 8.5171
B C
1 7
Direct
0.0000 0.0000 0.0000 B
0.0632 0.0632 0.0632 C
0.2462 0.2462 0.2462 C
0.3051 0.3051 0.3051 C
0.4169 0.4169 0.4169 C
0.4776 0.4776 0.4776 C
0.8312 0.8312 0.8312 C
0.8916 0.8916 0.8916 C
```

Computed properties:
As for the total magnetization: 0.0 μB per formula unit. The space group is R3m.

Short version: two) is the least stable of them.

one) Computed, not measured: B4C after structural relaxation at the PBE level of DFT.

```
B4C
1.0
2.8230 1.6298 4.0315
-2.8230 1.6298 4.0315
0.0000 -3.2597 4.0315
B C
12 3
Direct
0.0062 0.0062 0.3296 B
0.0062 0.3296 0.0062 B
0.1935 0.1935 0.6914 B
0.1935 0.6914 0.1935 B
0.3086 0.8065 0.8065 B
0.3296 0.0062 0.0062 B
0.6704 0.9938 0.9938 B
0.6914 0.1935 0.1935 B
0.8065 0.3086 0.8065 B
0.8065 0.8065 0.3086 B
0.9938 0.6704 0.9938 B
0.9938 0.9938 0.6704 B
0.3898 0.3898 0.3898 C
0.5000 0.5000 0.5000 C
0.6102 0.6102 0.6102 C
```

Computed properties:
The space group is R-3m.

two) Computed, not measured: B4C after structural relaxation at the PBE level of DFT.

```
B4C
1.0
4.3899 -2.8021 0.0000
4.3899 2.8021 0.0000
-2.4339 0.0000 4.4308
B C
12 3
Direct
0.0000 0.0000 0.0000 B
0.1747 0.4968 0.5038 B
0.1870 0.6962 0.2936 B
0.3030 0.8164 0.6893 B
0.3098 0.3098 0.1769 B
0.4968 0.1747 0.5038 B
0.5047 0.8298 0.4828 B
0.5074 0.5074 0.1509 B
0.6924 0.6924 0.8071 B
0.6962 0.1870 0.2936 B
0.8164 0.3030 0.6893 B
0.8298 0.5047 0.4828 B
0.1209 0.1209 0.8845 C
0.4960 0.4960 0.8136 C
0.8749 0.8749 0.1059 C
```

Computed properties:
The space group is Cm.

three) Computed, not measured: B4C after structural relaxation at the PBE level of DFT.

```
B4C
1.0
5.1188 0.0000 0.0000
-2.1175 4.6604 0.0000
-1.1369 -2.5644 22.1915
B C
56 14
Direct
0.0000 0.0000 0.0000 B
0.0001 0.8278 0.3085 B
0.0028 0.3301 0.6639 B
0.0551 0.5456 0.2674 B
0.0564 0.8755 0.9318 B
0.0587 0.0462 0.6233 B
0.0667 0.0677 0.1306 B
0.0962 0.0890 0.7035 B
0.1239 0.0869 0.8656 B
0.1722 0.3734 0.0258 B
0.1953 0.9423 0.4667 B
0.1982 0.6017 0.7980 B
0.2007 0.4000 0.6001 B
0.2109 0.4177 0.1061 B
0.2499 0.6582 0.4261 B
0.2629 0.6646 0.9292 B
0.2641 0.4660 0.7312 B
0.2775 0.1336 0.0661 B
0.2900 0.7008 0.5063 B
0.3342 0.6616 0.6641 B
0.3398 0.9941 0.6633 B
0.3679 0.9799 0.8256 B
0.3868 0.5504 0.2685 B
0.3937 0.0097 0.4026 B
0.4040 0.0219 0.9059 B
0.4407 0.2676 0.2281 B
0.4595 0.7357 0.8648 B
0.4597 0.0757 0.5346 B
0.4708 0.2591 0.7281 B
0.4812 0.3090 0.3086 B
0.5253 0.2723 0.4667 B
0.5313 0.6048 0.4649 B
0.5776 0.5653 0.6233 B
0.5866 0.6187 0.2035 B
0.6152 0.6074 0.7035 B
0.6493 0.8564 0.0256 B
0.6524 0.6851 0.3368 B
0.6659 0.8642 0.5292 B
0.6696 0.3241 0.6631 B
0.6884 0.9012 0.1062 B
0.7188 0.8823 0.2687 B
0.7222 0.2127 0.2676 B
0.7688 0.1771 0.4261 B
0.7900 0.4091 0.2003 B
0.7918 0.2091 0.0026 B
0.7933 0.7426 0.8657 B
0.8064 0.2172 0.5063 B
0.8516 0.4578 0.8255 B
0.8579 0.4746 0.3319 B
0.8600 0.2757 0.1338 B
0.8610 0.9345 0.4649 B
0.8871 0.4992 0.9061 B
0.9272 0.4700 0.0669 B
0.9331 0.8030 0.0660 B
0.9604 0.7881 0.2281 B
0.9931 0.8121 0.8012 B
0.0817 0.4592 0.5400 C
0.1278 0.4151 0.8651 C
0.1687 0.0254 0.1938 C
0.2766 0.0659 0.3418 C
0.3797 0.6065 0.9898 C
0.4012 0.1994 0.5998 C
0.4797 0.6634 0.1413 C
0.5798 0.2125 0.7903 C
0.5925 0.8100 0.4018 C
0.6064 0.1380 0.0667 C
0.6729 0.2653 0.9419 C
0.7897 0.7987 0.5878 C
0.8874 0.8508 0.7380 C
0.9766 0.4154 0.3911 C
```

Computed properties:
As for the total magnetization: 0.1 μB per formula unit. The space group is P1.

four) Computed, not measured: B4C after structural relaxation at the PBE level of DFT.

```
B4C
1.0
3.6975 2.1348 2.9239
-3.6975 2.1348 2.9239
0.0000 -4.2695 2.9239
B C
12 3
Direct
0.0385 0.3864 0.3864 B
0.0800 0.8374 0.8374 B
0.1626 0.1626 0.9200 B
0.1626 0.9200 0.1626 B
0.3864 0.0385 0.3864 B
0.3864 0.3864 0.0385 B
0.6136 0.6136 0.9615 B
0.6136 0.9615 0.6136 B
0.8374 0.0800 0.8374 B
0.8374 0.8374 0.0800 B
0.9200 0.1626 0.1626 B
0.9615 0.6136 0.6136 B
0.3505 0.3505 0.3505 C
0.5000 0.5000 0.5000 C
0.6495 0.6495 0.6495 C
```

Computed properties:
As for the total magnetization: 0.0 μB per formula unit. The space group is R-3m.

Short version: four) is the least stable of them.

one) Computed, not measured: Mg6BC after structural relaxation at the PBE level of DFT.

```
Mg6BC
1.0
3.3968 0.0000 0.0000
0.0000 7.7123 0.0000
0.0000 0.0000 10.3315
Mg B C
12 2 2
Direct
0.0000 0.6793 0.1135 Mg
0.0000 0.3207 0.1135 Mg
0.0000 0.5000 0.8779 Mg
0.5000 0.8133 0.8802 Mg
0.5000 0.1867 0.8802 Mg
0.5000 0.5000 0.6348 Mg
0.0000 0.1793 0.6135 Mg
0.0000 0.8207 0.6135 Mg
0.0000 0.0000 0.3779 Mg
0.5000 0.3133 0.3802 Mg
0.5000 0.6867 0.3802 Mg
0.5000 0.0000 0.1348 Mg
0.0000 0.5000 0.4733 B
0.0000 0.0000 0.9733 B
0.5000 0.5000 0.0267 C
0.5000 0.0000 0.5267 C
```

Computed properties:
As for the total magnetization: 0.0 μB per formula unit.

two) Computed, not measured: Mg6BC after structural relaxation at the PBE level of DFT.

```
Mg6BC
1.0
3.8346 0.0000 0.0000
0.0000 4.0010 4.9358
0.0000 -4.0010 4.9358
Mg B C
6 1 1
Direct
0.0000 0.0000 0.0000 Mg
0.0000 0.4829 0.4829 Mg
0.0000 0.4967 0.9641 Mg
0.0000 0.9641 0.4967 Mg
0.5000 0.2414 0.7504 Mg
0.5000 0.7504 0.2414 Mg
0.5000 0.6394 0.6394 B
0.5000 0.0986 0.0986 C
```

Computed properties:
As for the total magnetization: 0.0 μB per formula unit. The space group is Amm2.

Short version: two) is the least stable of them.

one) Computed, not measured: Mg14BCO16 after structural relaxation at the PBE level of DFT.

```
Mg14BCO16
1.0
4.2470 0.0000 0.0000
0.0000 8.3949 0.0000
0.0000 0.0000 8.5776
Mg B C O
14 1 1 16
Direct
0.0000 0.0000 0.0000 Mg
0.0000 0.2460 0.2504 Mg
0.0000 0.2460 0.7496 Mg
0.0000 0.5000 0.0000 Mg
0.0000 0.7540 0.2504 Mg
0.0000 0.7540 0.7496 Mg
0.5000 0.0000 0.2530 Mg
0.5000 0.0000 0.7470 Mg
0.5000 0.2421 0.5000 Mg
0.5000 0.2501 0.0000 Mg
0.5000 0.5000 0.2560 Mg
0.5000 0.5000 0.7440 Mg
0.5000 0.7499 0.0000 Mg
0.5000 0.7579 0.5000 Mg
0.0000 0.0000 0.5000 B
0.0000 0.5000 0.5000 C
0.0000 0.0000 0.2379 O
0.0000 0.0000 0.7621 O
0.0000 0.1660 0.5000 O
0.0000 0.2530 0.0000 O
0.0000 0.5000 0.2508 O
0.0000 0.5000 0.7492 O
0.0000 0.7470 0.0000 O
0.0000 0.8340 0.5000 O
0.5000 0.0000 0.0000 O
0.5000 0.0000 0.5000 O
0.5000 0.2513 0.2560 O
0.5000 0.2513 0.7440 O
0.5000 0.5000 0.0000 O
0.5000 0.5000 0.5000 O
0.5000 0.7487 0.2560 O
0.5000 0.7487 0.7440 O
```

Computed properties:
As for the total magnetization: 1.0 μB per formula unit. The space group is Pmmm.

two) Computed, not measured: Mg14BCO16 after structural relaxation at the PBE level of DFT.

```
Mg14BCO16
1.0
8.5044 0.0000 0.0000
0.0000 8.5044 0.0000
0.0000 0.0000 4.1999
Mg B C O
14 1 1 16
Direct
0.0000 0.2413 0.0000 Mg
0.0000 0.5000 0.5000 Mg
0.0000 0.7587 0.0000 Mg
0.2413 0.0000 0.0000 Mg
0.2525 0.2525 0.5000 Mg
0.2529 0.5000 0.0000 Mg
0.2525 0.7475 0.5000 Mg
0.5000 0.0000 0.5000 Mg
0.5000 0.2529 0.0000 Mg
0.5000 0.7471 0.0000 Mg
0.7475 0.2525 0.5000 Mg
0.7471 0.5000 0.0000 Mg
0.7475 0.7475 0.5000 Mg
0.7587 0.0000 0.0000 Mg
0.0000 0.0000 0.5000 B
0.5000 0.5000 0.5000 C
0.0000 0.0000 0.0000 O
0.0000 0.2060 0.5000 O
0.0000 0.5000 0.0000 O
0.0000 0.7940 0.5000 O
0.2060 0.0000 0.5000 O
0.2269 0.5000 0.5000 O
0.2496 0.2496 0.0000 O
0.2496 0.7504 0.0000 O
0.5000 0.0000 0.0000 O
0.5000 0.2269 0.5000 O
0.5000 0.5000 0.0000 O
0.5000 0.7731 0.5000 O
0.7504 0.2496 0.0000 O
0.7504 0.7504 0.0000 O
0.7731 0.5000 0.5000 O
0.7940 0.0000 0.5000 O
```

Computed properties:
As for the total magnetization: 1.0 μB per formula unit. The space group is P4/mmm.

Short version: two) is the least stable of them.

one) Computed, not measured: Mg6BCO8 after structural relaxation at the PBE level of DFT.

```
Mg6BCO8
1.0
4.1832 0.0000 0.0000
0.0000 4.1832 0.0000
0.0000 0.0000 8.4067
Mg B C O
6 1 1 8
Direct
0.0000 0.0000 0.0000 Mg
0.0000 0.5000 0.2614 Mg
0.0000 0.5000 0.7386 Mg
0.5000 0.0000 0.2614 Mg
0.5000 0.0000 0.7386 Mg
0.5000 0.5000 0.0000 Mg
0.0000 0.0000 0.5000 B
0.5000 0.5000 0.5000 C
0.0000 0.0000 0.2695 O
0.0000 0.0000 0.7305 O
0.0000 0.5000 0.0000 O
0.0000 0.5000 0.5000 O
0.5000 0.0000 0.0000 O
0.5000 0.0000 0.5000 O
0.5000 0.5000 0.2476 O
0.5000 0.5000 0.7524 O
```

Computed properties:
As for the total magnetization: 0.1 μB per formula unit. The space group is P4/mmm.

two) Computed, not measured: Mg6BCO8 after structural relaxation at the PBE level of DFT.

```
Mg6BCO8
1.0
4.2362 0.0000 0.0000
0.0000 4.2362 0.0000
0.0000 0.0000 8.3152
Mg B C O
6 1 1 8
Direct
0.0000 0.0000 0.0000 Mg
0.0000 0.0000 0.5000 Mg
0.0000 0.5000 0.2435 Mg
0.0000 0.5000 0.7565 Mg
0.5000 0.0000 0.2435 Mg
0.5000 0.0000 0.7565 Mg
0.5000 0.5000 0.0000 B
0.5000 0.5000 0.5000 C
0.0000 0.0000 0.2531 O
0.0000 0.0000 0.7469 O
0.0000 0.5000 0.0000 O
0.0000 0.5000 0.5000 O
0.5000 0.0000 0.0000 O
0.5000 0.0000 0.5000 O
0.5000 0.5000 0.1714 O
0.5000 0.5000 0.8286 O
```

Computed properties:
As for the total magnetization: 1.0 μB per formula unit. The space group is P4/mmm.

Short version: one) is the least stable of them.

one) Computed, not measured: YBC after structural relaxation at the PBE level of DFT.

```
YBC
1.0
1.6980 -9.5054 0.0000
1.6980 9.5054 0.0000
0.0000 0.0000 3.5250
Y B C
2 2 2
Direct
0.1550 0.8450 0.0000 Y
0.8450 0.1550 0.0000 Y
0.2768 0.7232 0.5000 B
0.7232 0.2768 0.5000 B
0.3552 0.6448 0.5000 C
0.6448 0.3552 0.5000 C
```

Computed properties:
As for the total magnetization: 0.0 μB per formula unit. The space group is Cmmm.

two) Computed, not measured: YBC after structural relaxation at the PBE level of DFT.

```
YBC
1.0
3.0255 0.0000 0.0000
-1.5127 2.6201 0.0000
0.0000 0.0000 8.1015
Y B C
2 2 2
Direct
0.0000 0.0000 0.0000 Y
0.0000 0.0000 0.5000 Y
0.3333 0.6667 0.2500 B
0.6667 0.3333 0.7500 B
0.3333 0.6667 0.7500 C
0.6667 0.3333 0.2500 C
```

Computed properties:
As for the total magnetization: 0.0 μB per formula unit. The space group is P6_3/mmc.

Short version: one) is the least stable of them.